No. 1
# HfW2O8

HfW2O8 after structural relaxation (PBE with a Hubbard U, the Materials Project).

Calculated values
space-group type: P2_13 (198)
size of the total moment: 0.000 μB per formula unit
total DFT energy (no corrections): -8.17 eV/atom
calculated density: 5.57 Mg/m³

a = 9.300 Å, b = 9.300 Å, c = 9.300 Å
α = 90.00°, β = 90.00°, γ = 90.00°
Fractional positions:
Hf  0.249  0.251  0.749
Hf  0.251  0.749  0.249
Hf  0.749  0.249  0.251
Hf  0.751  0.751  0.751
W  0.093  0.093  0.093
W  0.148  0.648  0.852
W  0.352  0.352  0.352
W  0.407  0.907  0.593
W  0.593  0.407  0.907
W  0.648  0.852  0.148
W  0.852  0.148  0.648
W  0.907  0.593  0.407
O  0.016  0.484  0.516
O  0.040  0.194  0.681
O  0.047  0.697  0.311
O  0.181  0.460  0.806
O  0.189  0.953  0.197
O  0.194  0.681  0.040
O  0.197  0.189  0.953
O  0.241  0.241  0.241
O  0.259  0.759  0.741
O  0.303  0.811  0.453
O  0.306  0.319  0.540
O  0.311  0.047  0.697
O  0.319  0.540  0.306
O  0.453  0.303  0.811
O  0.460  0.806  0.181
O  0.484  0.516  0.016
O  0.516  0.016  0.484
O  0.540  0.306  0.319
O  0.547  0.803  0.689
O  0.681  0.040  0.194
O  0.689  0.547  0.803
O  0.694  0.819  0.960
O  0.697  0.311  0.047
O  0.741  0.259  0.759
O  0.759  0.741  0.259
O  0.803  0.689  0.547
O  0.806  0.181  0.460
O  0.811  0.453  0.303
O  0.819  0.960  0.694
O  0.953  0.197  0.189
O  0.960  0.694  0.819
O  0.984  0.984  0.984



No. 2
# Li9Mn7O16

Li9Mn7O16 after structural relaxation (PBE with a Hubbard U, the Materials Project).

Calculated values
space-group type: P-1 (2)
size of the total moment: 25.999 μB per formula unit
total DFT energy (no corrections): -6.45 eV/atom
energy above the lowest structure with this stoichiometry: 4 meV per atom
calculated density: 3.92 Mg/m³

a = 5.758 Å, b = 6.072 Å, c = 9.908 Å
α = 93.93°, β = 98.35°, γ = 118.30°
Fractional positions:
Li  0.000  0.000  0.000
Li  0.243  0.366  0.240
Li  0.243  0.872  0.250
Li  0.245  0.128  0.750
Li  0.249  0.620  0.757
Li  0.751  0.380  0.243
Li  0.755  0.872  0.250
Li  0.757  0.128  0.750
Li  0.757  0.634  0.760
Mn  0.000  0.500  0.000
Mn  0.001  0.749  0.503
Mn  0.500  0.000  0.000
Mn  0.500  0.250  0.498
Mn  0.500  0.500  0.000
Mn  0.500  0.750  0.502
Mn  0.999  0.251  0.497
O  0.129  0.786  0.897
O  0.137  0.331  0.886
O  0.138  0.086  0.378
O  0.140  0.589  0.384
O  0.359  0.411  0.616
O  0.360  0.660  0.118
O  0.363  0.915  0.621
O  0.394  0.214  0.103
O  0.606  0.786  0.897
O  0.637  0.085  0.379
O  0.640  0.340  0.882
O  0.641  0.589  0.384
O  0.860  0.411  0.616
O  0.862  0.914  0.622
O  0.863  0.669  0.114
O  0.871  0.214  0.103



No. 3
# Li7FeP4O14F

Li7FeP4O14F after structural relaxation (PBE with a Hubbard U, the Materials Project).

Calculated values
space-group type: Cc (9)
size of the total moment: 4.000 μB per formula unit
total DFT energy (no corrections): -6.43 eV/atom
calculated density: 2.71 Mg/m³

a = 6.371 Å, b = 6.371 Å, c = 14.622 Å
α = 95.78°, β = 95.78°, γ = 78.71°
Fractional positions:
Li  0.073  0.635  0.334
Li  0.073  0.927  0.500
Li  0.180  0.720  0.847
Li  0.426  0.964  0.987
Li  0.552  0.703  0.328
Li  0.587  0.997  0.499
Li  0.635  0.073  0.834
Li  0.703  0.552  0.828
Li  0.720  0.180  0.347
Li  0.729  0.905  0.163
Li  0.905  0.729  0.663
Li  0.927  0.073  0.000
Li  0.964  0.426  0.487
Li  0.997  0.587  0.999
Fe  0.320  0.322  0.665
Fe  0.322  0.320  0.165
P  0.127  0.220  0.839
P  0.216  0.850  0.166
P  0.220  0.127  0.339
P  0.438  0.791  0.665
P  0.460  0.511  0.491
P  0.511  0.460  0.991
P  0.791  0.438  0.165
P  0.850  0.216  0.666
O  0.018  0.456  0.861
O  0.023  0.838  0.095
O  0.058  0.141  0.411
O  0.107  0.982  0.256
O  0.141  0.058  0.911
O  0.215  0.341  0.299
O  0.267  0.683  0.700
O  0.302  0.393  0.527
O  0.324  0.639  0.206
O  0.338  0.991  0.614
O  0.341  0.215  0.799
O  0.349  0.680  0.426
O  0.364  0.658  0.955
O  0.381  0.973  0.137
O  0.393  0.302  0.027
O  0.456  0.018  0.361
O  0.563  0.639  0.583
O  0.627  0.808  0.738
O  0.639  0.324  0.706
O  0.639  0.563  0.083
O  0.658  0.364  0.455
O  0.680  0.349  0.926
O  0.683  0.267  0.200
O  0.808  0.627  0.238
O  0.838  0.023  0.595
O  0.973  0.381  0.637
O  0.982  0.107  0.756
O  0.991  0.338  0.114
F  0.724  0.891  0.938
F  0.891  0.724  0.438



No. 4
# SrEuCrSnO6

SrEuCrSnO6 after structural relaxation (PBE with a Hubbard U, the Materials Project).

Calculated values
space-group type: F-43m (216)
size of the total moment: 9.000 μB per formula unit
total DFT energy (no corrections): -7.53 eV/atom
calculated density: 6.54 Mg/m³

a = 5.665 Å, b = 5.665 Å, c = 5.665 Å
α = 60.00°, β = 60.00°, γ = 60.00°
Fractional positions:
Sr  0.000  0.000  0.000
Eu  0.500  0.500  0.500
Cr  0.250  0.250  0.250
Sn  0.750  0.750  0.750
O  0.005  0.005  0.495
O  0.005  0.495  0.005
O  0.005  0.495  0.495
O  0.495  0.005  0.005
O  0.495  0.005  0.495
O  0.495  0.495  0.005



No. 5
# Cs4Fe2O5

Cs4Fe2O5 after structural relaxation (PBE with a Hubbard U, the Materials Project).

Calculated values
space-group type: C2/c (15)
total DFT energy (no corrections): -5.01 eV/atom
calculated density: 4.60 Mg/m³

a = 9.968 Å, b = 9.968 Å, c = 7.817 Å
α = 96.12°, β = 96.12°, γ = 135.48°
Fractional positions:
Cs  0.017  0.983  0.750
Cs  0.167  0.526  0.385
Cs  0.467  0.533  0.750
Cs  0.474  0.833  0.115
Cs  0.526  0.167  0.885
Cs  0.533  0.467  0.250
Cs  0.833  0.474  0.615
Cs  0.983  0.017  0.250
Fe  0.008  0.692  0.098
Fe  0.308  0.992  0.402
Fe  0.692  0.008  0.598
Fe  0.992  0.308  0.902
O  0.000  0.500  0.000
O  0.034  0.726  0.357
O  0.197  0.359  0.032
O  0.274  0.966  0.143
O  0.359  0.197  0.532
O  0.500  0.000  0.500
O  0.641  0.803  0.468
O  0.726  0.034  0.857
O  0.803  0.641  0.968
O  0.966  0.274  0.643



No. 6
# Bi28Mo2O47

Bi28Mo2O47 after structural relaxation (PBE with a Hubbard U, the Materials Project).

Calculated values
space-group type: P1 (1)
size of the total moment: 0.005 μB per formula unit
total DFT energy (no corrections): -5.87 eV/atom
calculated density: 8.28 Mg/m³

a = 8.872 Å, b = 8.888 Å, c = 17.275 Å
α = 90.12°, β = 90.16°, γ = 90.07°
Fractional positions:
Bi  0.000  0.000  0.000
Bi  0.000  0.004  0.663
Bi  0.052  0.014  0.336
Bi  0.105  0.292  0.175
Bi  0.105  0.301  0.493
Bi  0.159  0.587  0.332
Bi  0.216  0.601  0.661
Bi  0.220  0.601  0.001
Bi  0.307  0.910  0.165
Bi  0.308  0.914  0.501
Bi  0.323  0.857  0.832
Bi  0.391  0.252  0.334
Bi  0.411  0.193  0.998
Bi  0.411  0.195  0.663
Bi  0.498  0.495  0.162
Bi  0.500  0.504  0.501
Bi  0.550  0.514  0.834
Bi  0.608  0.799  0.674
Bi  0.611  0.804  0.992
Bi  0.663  0.088  0.832
Bi  0.718  0.101  0.502
Bi  0.719  0.098  0.160
Bi  0.812  0.413  0.001
Bi  0.813  0.416  0.662
Bi  0.820  0.355  0.332
Bi  0.891  0.754  0.833
Bi  0.905  0.696  0.500
Bi  0.909  0.689  0.160
Mo  0.139  0.267  0.818
Mo  0.609  0.772  0.316
O  0.027  0.550  0.080
O  0.027  0.556  0.578
O  0.044  0.096  0.848
O  0.084  0.330  0.717
O  0.106  0.805  0.450
O  0.108  0.803  0.715
O  0.109  0.798  0.215
O  0.110  0.800  0.950
O  0.182  0.054  0.088
O  0.184  0.055  0.579
O  0.230  0.126  0.413
O  0.231  0.122  0.255
O  0.286  0.427  0.412
O  0.289  0.426  0.254
O  0.329  0.331  0.847
O  0.354  0.723  0.080
O  0.356  0.380  0.081
O  0.361  0.383  0.580
O  0.361  0.726  0.583
O  0.425  0.681  0.912
O  0.427  0.680  0.754
O  0.430  0.836  0.350
O  0.485  0.986  0.754
O  0.488  0.984  0.911
O  0.531  0.051  0.586
O  0.534  0.049  0.076
O  0.605  0.294  0.212
O  0.606  0.300  0.452
O  0.611  0.302  0.951
O  0.612  0.300  0.717
O  0.612  0.801  0.212
O  0.624  0.572  0.333
O  0.683  0.561  0.584
O  0.690  0.548  0.080
O  0.734  0.625  0.754
O  0.735  0.622  0.914
O  0.765  0.870  0.360
O  0.786  0.924  0.914
O  0.787  0.925  0.754
O  0.855  0.878  0.078
O  0.855  0.883  0.584
O  0.858  0.226  0.579
O  0.863  0.225  0.084
O  0.929  0.173  0.253
O  0.929  0.177  0.414
O  0.981  0.481  0.254
O  0.981  0.483  0.411



No. 7
# LiFePHO5

LiFePHO5 after structural relaxation (PBE with a Hubbard U, the Materials Project).

Calculated values
space-group type: P1 (1)
size of the total moment: 5.000 μB per formula unit
total DFT energy (no corrections): -6.49 eV/atom
energy above the lowest structure with this stoichiometry: 2 meV per atom
calculated density: 3.19 Mg/m³

a = 5.179 Å, b = 7.395 Å, c = 10.651 Å
α = 104.25°, β = 96.72°, γ = 109.46°
Fractional positions:
Li  0.000  0.000  0.000
Li  0.093  0.187  0.603
Li  0.497  0.475  0.502
Li  0.596  0.685  0.103
Fe  0.045  0.081  0.302
Fe  0.046  0.581  0.303
Fe  0.544  0.082  0.801
Fe  0.547  0.582  0.803
P  0.041  0.633  0.622
P  0.051  0.528  0.983
P  0.540  0.134  0.122
P  0.550  0.030  0.483
H  0.220  0.271  0.833
H  0.372  0.392  0.271
H  0.721  0.771  0.335
H  0.867  0.891  0.769
O  0.168  0.862  0.697
O  0.183  0.571  0.131
O  0.230  0.383  0.327
O  0.262  0.536  0.633
O  0.286  0.031  0.177
O  0.303  0.631  0.927
O  0.329  0.127  0.471
O  0.360  0.280  0.777
O  0.410  0.094  0.974
O  0.422  0.801  0.407
O  0.668  0.363  0.198
O  0.682  0.073  0.631
O  0.729  0.883  0.826
O  0.761  0.037  0.132
O  0.787  0.530  0.679
O  0.803  0.132  0.426
O  0.826  0.622  0.971
O  0.862  0.780  0.278
O  0.909  0.591  0.474
O  0.925  0.298  0.908



No. 8
# Mg8V5O16

Mg8V5O16 after structural relaxation (PBE with a Hubbard U, the Materials Project).

Calculated values
space-group type: C2/m (12)
size of the total moment: 9.000 μB per formula unit
total DFT energy (no corrections): -6.85 eV/atom
energy above the lowest structure with this stoichiometry: 14 meV per atom
calculated density: 3.88 Mg/m³

a = 6.040 Å, b = 6.040 Å, c = 10.190 Å
α = 106.64°, β = 106.64°, γ = 59.27°
Fractional positions:
Mg  0.000  0.000  0.000
Mg  0.000  0.500  0.000
Mg  0.186  0.186  0.573
Mg  0.247  0.247  0.253
Mg  0.500  0.000  0.000
Mg  0.500  0.500  0.000
Mg  0.753  0.753  0.747
Mg  0.814  0.814  0.427
V  0.238  0.751  0.745
V  0.249  0.762  0.255
V  0.500  0.500  0.500
V  0.751  0.238  0.745
V  0.762  0.249  0.255
O  0.115  0.115  0.872
O  0.120  0.120  0.364
O  0.126  0.641  0.875
O  0.158  0.618  0.372
O  0.359  0.874  0.125
O  0.376  0.376  0.124
O  0.382  0.842  0.628
O  0.388  0.388  0.631
O  0.612  0.612  0.369
O  0.618  0.158  0.372
O  0.624  0.624  0.876
O  0.641  0.126  0.875
O  0.842  0.382  0.628
O  0.874  0.359  0.125
O  0.880  0.880  0.636
O  0.885  0.885  0.128



No. 9
# MgFe2Ni4O8

MgFe2Ni4O8 after structural relaxation (PBE with a Hubbard U, the Materials Project).

Calculated values
space-group type: Imm2 (44)
size of the total moment: 18.000 μB per formula unit
total DFT energy (no corrections): -5.40 eV/atom
energy above the lowest structure with this stoichiometry: 78 meV per atom
calculated density: 5.00 Mg/m³

a = 6.254 Å, b = 6.254 Å, c = 6.254 Å
α = 123.31°, β = 121.89°, γ = 85.55°
Fractional positions:
Mg  0.000  0.000  0.000
Fe  0.549  0.049  0.500
Fe  0.719  0.719  0.000
Ni  0.141  0.401  0.740
Ni  0.204  0.482  0.278
Ni  0.204  0.927  0.722
Ni  0.661  0.401  0.260
O  0.350  0.630  0.720
O  0.381  0.158  0.222
O  0.419  0.177  0.758
O  0.419  0.662  0.242
O  0.864  0.111  0.247
O  0.864  0.617  0.753
O  0.910  0.630  0.280
O  0.936  0.158  0.778



No. 10
# NaFeSi2O6

NaFeSi2O6 after structural relaxation (PBE with a Hubbard U, the Materials Project).

Calculated values
size of the total moment: 0.000 μB per formula unit
total DFT energy (no corrections): -7.13 eV/atom
calculated density: 3.43 Mg/m³

a = 5.363 Å, b = 9.647 Å, c = 8.907 Å
α = 90.00°, β = 90.00°, γ = 104.12°
Fractional positions:
Na  0.750  0.500  0.201
Na  0.250  0.000  0.701
Na  0.250  0.500  0.799
Na  0.750  0.000  0.299
Fe  0.250  0.000  0.102
Fe  0.250  0.500  0.398
Fe  0.750  0.500  0.602
Fe  0.750  0.000  0.898
Si  0.944  0.710  0.911
Si  0.444  0.210  0.411
Si  0.556  0.290  0.911
Si  0.056  0.790  0.411
Si  0.056  0.290  0.089
Si  0.556  0.790  0.589
Si  0.444  0.710  0.089
Si  0.944  0.210  0.589
O  0.022  0.886  0.922
O  0.522  0.386  0.422
O  0.478  0.114  0.922
O  0.978  0.614  0.422
O  0.978  0.114  0.078
O  0.478  0.614  0.578
O  0.522  0.886  0.078
O  0.022  0.386  0.578
O  0.942  0.640  0.746
O  0.442  0.140  0.246
O  0.558  0.360  0.746
O  0.058  0.860  0.246
O  0.058  0.360  0.254
O  0.558  0.860  0.754
O  0.442  0.640  0.254
O  0.942  0.140  0.754
O  0.661  0.649  0.992
O  0.161  0.149  0.492
O  0.839  0.351  0.992
O  0.339  0.851  0.492
O  0.339  0.351  0.008
O  0.839  0.851  0.508
O  0.161  0.649  0.008
O  0.661  0.149  0.508